HoCr6Ge6 | PBE-GGA | optimized geometry

Cell lengths 5.108, 5.108, 8.315 Å; angles 90.00, 90.00, 120.00 degrees
Fractional coordinates of all 13 atoms:
Ho 0.000 0.000 0.000
Cr 0.000 0.500 0.250
Cr 0.000 0.500 0.750
Cr 0.500 0.000 0.250
Cr 0.500 0.000 0.750
Cr 0.500 0.500 0.250
Cr 0.500 0.500 0.750
Ge 0.000 0.000 0.346
Ge 0.000 0.000 0.654
Ge 0.333 0.667 0.000
Ge 0.333 0.667 0.500
Ge 0.667 0.333 0.000
Ge 0.667 0.333 0.500

* symmetry: P6/mmm
* formation energy from the elements: -0.20 eV per atom
* E_tot: -92.798 eV for the cell shown